The following is a GGA-PBE calculation of a relaxed structure of SbTe2F6, from Materials Project.

Summary:
Calculated density (g/cm³): 4.392
Total magnetic moment (Bohr magnetons per cell): 0.0
ΔE_f (eV/f.u.): -19.2

abc: 5.8058 8.1872 8.5118
angles: 72.48 76.96 77.65
Last column: nearest neighbours and their distance in Å.
Element x y z (fractional)
F: 0.8056 0.9561 0.6649  1 Sb 1.93
F: 0.1944 0.0439 0.3351  1 Sb 1.93
F: 0.3346 0.0640 0.7663  1 Sb 1.91
F: 0.6775 0.1562 0.8815  1 Sb 1.95
F: 0.8845 0.2904 0.5663  1 Sb 1.92
F: 0.5821 0.6032 0.3190  1 Sb 1.92
F: 0.5427 0.2074 0.4444  1 Sb 1.91
F: 0.4179 0.3968 0.6810  1 Sb 1.92
F: 0.6654 0.9360 0.2337  1 Sb 1.91
F: 0.3225 0.8438 0.1185  1 Sb 1.95
F: 0.1155 0.7096 0.4337  1 Sb 1.92
F: 0.4573 0.7926 0.5556  1 Sb 1.91
Te: 0.0717 0.7300 0.9370  2 Te 2.71-2.72, 2 F 2.80-3.00
Te: 0.8442 0.5568 0.8084  2 Te 2.71-2.72
Te: 0.9283 0.2700 0.0630  2 Te 2.71-2.72, 2 F 2.80-3.00
Te: 0.1558 0.4432 0.1916  2 Te 2.71-2.72
Sb: 0.3930 0.8215 0.3377  6 F 1.91-1.95
Sb: 0.6070 0.1785 0.6623  6 F 1.91-1.95

=====

The following is a GGA-PBE calculation of a relaxed structure of Sb2TeF14, from Materials Project.

Summary:
Calculated density (g/cm³): 3.817
ΔE_f (eV/f.u.): -43.7

abc: 14.5654 7.6111 10.0029
angles: 88.49 90.00 90.00
Last column: nearest neighbours and their distance in Å.
Element x y z (fractional)
F: 0.0229 0.5293 0.1759  1 Sb 1.89
F: 0.3319 0.3649 0.4598  1 Te 1.86
F: 0.1839 0.8315 0.3578  1 Sb 1.91
F: 0.6321 0.2927 0.7656  1 Sb 1.88
F: 0.9526 0.8174 0.6624  1 Sb 1.91
F: 0.9771 0.4707 0.8241  1 Sb 1.89
F: 0.5060 0.1729 0.5761  1 Sb 1.88
F: 0.9018 0.9807 0.4033  1 Sb 1.93
F: 0.1744 0.7133 0.1102  1 Sb 1.89
F: 0.4526 0.1826 0.8376  1 Sb 1.91
F: 0.8161 0.1685 0.6422  1 Sb 1.91
F: 0.6839 0.1685 0.1422  1 Sb 1.91
F: 0.3508 0.0350 0.3512  1 Sb 1.94
F: 0.9768 0.1229 0.7833  2 Sb 2.05-2.08
F: 0.5229 0.4707 0.3241  1 Sb 1.89
F: 0.9940 0.1729 0.0761  1 Sb 1.88
F: 0.1321 0.7073 0.7344  1 Sb 1.88
F: 0.8161 0.5382 0.6830  1 Sb 1.95
F: 0.6681 0.6351 0.5402  1 Te 1.86
F: 0.0232 0.8771 0.2167  2 Sb 2.05-2.08
F: 0.0982 0.0193 0.5967  1 Sb 1.93
F: 0.1681 0.3649 0.9598  1 Te 1.86
F: 0.5232 0.1229 0.2833  2 Sb 2.05-2.08
F: 0.2138 0.1008 0.1207  1 Te 1.88
F: 0.7862 0.8992 0.8793  1 Te 1.88
F: 0.5474 0.8174 0.1624  1 Sb 1.91
F: 0.3282 0.3676 0.0913  1 Te 1.87
F: 0.0386 0.6434 0.4281  1 Sb 1.89
F: 0.5982 0.9807 0.9033  1 Sb 1.93
F: 0.8679 0.2927 0.2656  1 Sb 1.88
F: 0.0060 0.8271 0.9239  1 Sb 1.88
F: 0.6492 0.9650 0.6488  1 Sb 1.94
F: 0.2862 0.1008 0.6207  1 Te 1.88
F: 0.9614 0.3566 0.5719  1 Sb 1.89
F: 0.7138 0.8992 0.3793  1 Te 1.88
F: 0.6839 0.5382 0.1830  1 Sb 1.95
F: 0.4768 0.8771 0.7167  2 Sb 2.05-2.08
F: 0.3679 0.7073 0.2344  1 Sb 1.88
F: 0.8256 0.2867 0.8898  1 Sb 1.89
F: 0.3161 0.4618 0.8170  1 Sb 1.95
F: 0.6744 0.2867 0.3898  1 Sb 1.89
F: 0.1839 0.4618 0.3170  1 Sb 1.95
F: 0.5386 0.3566 0.0719  1 Sb 1.89
F: 0.3256 0.7133 0.6102  1 Sb 1.89
F: 0.4018 0.0193 0.0967  1 Sb 1.93
F: 0.4614 0.6434 0.9281  1 Sb 1.89
F: 0.3161 0.8315 0.8578  1 Sb 1.91
F: 0.8282 0.6324 0.4087  1 Te 1.87
F: 0.0474 0.1826 0.3376  1 Sb 1.91
F: 0.1492 0.0350 0.8512  1 Sb 1.94
F: 0.4771 0.5293 0.6759  1 Sb 1.89
F: 0.6718 0.6324 0.9087  1 Te 1.87
F: 0.8508 0.9650 0.1488  1 Sb 1.94
F: 0.4940 0.8271 0.4239  1 Sb 1.88
F: 0.8319 0.6351 0.0402  1 Te 1.86
F: 0.1718 0.3676 0.5913  1 Te 1.87
Te: 0.2303 0.2169 0.4738  3 F 1.86-1.88
Te: 0.2697 0.2169 0.9738  3 F 1.86-1.88
Te: 0.7303 0.7831 0.0262  3 F 1.86-1.88
Te: 0.7697 0.7831 0.5262  3 F 1.86-1.88
Sb: 0.6083 0.3338 0.2306  6 F 1.89-2.08
Sb: 0.9443 0.0973 0.2414  6 F 1.88-2.05
Sb: 0.4443 0.9027 0.2586  6 F 1.88-2.05
Sb: 0.5557 0.0973 0.7414  6 F 1.88-2.05
Sb: 0.3917 0.6662 0.7694  6 F 1.89-2.08
Sb: 0.1083 0.6662 0.2694  6 F 1.89-2.08
Sb: 0.8917 0.3338 0.7306  6 F 1.89-2.08
Sb: 0.0557 0.9027 0.7586  6 F 1.88-2.05

=====

The following is a GGA-PBE calculation of a relaxed structure of TlSb3F18, from Materials Project.

Summary:
Calculated density (g/cm³): 4.160
Total magnetic moment (Bohr magnetons per cell): 0.0
ΔE_f (eV/f.u.): -55.4

abc: 9.7304 9.7304 8.8758
angles: 90.00 90.00 120.00
Last column: nearest neighbours and their distance in Å.
Element x y z (fractional)
F: 0.1391 0.6112 0.4034  1 Sb 2.01, 1 Tl 2.25
F: 0.5279 0.1391 0.5966  1 Sb 2.01, 1 Tl 2.25
F: 0.1358 0.6092 0.1033  1 Sb 1.88
F: 0.7087 0.8374 0.2675  1 Sb 1.88
F: 0.2370 0.8808 0.5946  1 Sb 1.93
F: 0.4185 0.5531 0.7435  1 Sb 2.01
F: 0.6112 0.4721 0.5966  1 Sb 2.01, 1 Tl 2.25
F: 0.5815 0.4469 0.2565  1 Sb 2.01
F: 0.3908 0.5266 0.1033  1 Sb 1.88
F: 0.3562 0.2370 0.4054  1 Sb 1.93
F: 0.1288 0.2913 0.2675  1 Sb 1.88
F: 0.1345 0.5815 0.7435  1 Sb 2.01
F: 0.8712 0.7087 0.7325  1 Sb 1.88
F: 0.8374 0.1288 0.7325  1 Sb 1.88
F: 0.5531 0.1345 0.2565  1 Sb 2.01
F: 0.6092 0.4734 0.8967  1 Sb 1.88
F: 0.7630 0.1192 0.4054  1 Sb 1.93
F: 0.3212 0.2141 0.0975  1 Sb 1.88
F: 0.5266 0.1358 0.8967  1 Sb 1.88
F: 0.7859 0.1071 0.0975  1 Sb 1.88
F: 0.1626 0.8712 0.2675  1 Sb 1.88
F: 0.4469 0.8655 0.7435  1 Sb 2.01
F: 0.6438 0.7630 0.5946  1 Sb 1.93
F: 0.6788 0.7859 0.9025  1 Sb 1.88
F: 0.2913 0.1626 0.7325  1 Sb 1.88
F: 0.4721 0.8609 0.4034  1 Sb 2.01, 1 Tl 2.25
F: 0.8808 0.6438 0.4054  1 Sb 1.93
F: 0.1192 0.3562 0.5946  1 Sb 1.93
F: 0.1071 0.3212 0.9025  1 Sb 1.88
F: 0.8609 0.3888 0.5966  1 Sb 2.01, 1 Tl 2.25
F: 0.8642 0.3908 0.8967  1 Sb 1.88
F: 0.8655 0.4185 0.2565  1 Sb 2.01
F: 0.8929 0.6788 0.0975  1 Sb 1.88
F: 0.4734 0.8642 0.1033  1 Sb 1.88
F: 0.3888 0.5279 0.4034  1 Sb 2.01, 1 Tl 2.25
F: 0.2141 0.8929 0.9025  1 Sb 1.88
Sb: 0.9817 0.3464 0.7567  6 F 1.88-2.01
Sb: 0.0183 0.6536 0.2433  6 F 1.88-2.01
Sb: 0.6536 0.6353 0.7567  6 F 1.88-2.01
Sb: 0.6353 0.9817 0.2433  6 F 1.88-2.01
Sb: 0.3464 0.3647 0.2433  6 F 1.88-2.01
Sb: 0.3647 0.0183 0.7567  6 F 1.88-2.01
Tl: 0.3333 0.6667 0.5716  6 F 2.25-2.27
Tl: 0.6667 0.3333 0.4284  6 F 2.25-2.27

=====

The following is a GGA-PBE calculation of a relaxed structure of Sb2XeF14, from Materials Project.

Summary:
Energy above the lowest structure with this stoichiometry (eV/atom): 0.0000
Calculated density (g/cm³): 3.676
ΔE_f (eV/f.u.): -35.3

abc: 8.2290 8.4952 9.8140
angles: 67.39 89.53 67.84
Last column: nearest neighbours and their distance in Å.
Element x y z (fractional)
F: 0.6488 0.9772 0.2168  2 Sb 2.04-2.11
F: 0.1222 0.0521 0.5716  1 Sb 1.89
F: 0.0046 0.3715 0.9057  1 Xe 1.96
F: 0.6360 0.9793 0.6393  1 Sb 1.90
F: 0.0244 0.0234 0.8392  1 Sb 1.89
F: 0.0427 0.5905 0.3667  1 Xe 1.99
F: 0.6547 0.6536 0.2357  1 Sb 1.89
F: 0.3554 0.6923 0.3696  1 Sb 1.89
F: 0.2809 0.3540 0.1023  1 Xe 2.00
F: 0.4105 0.7314 0.7057  1 Sb 1.92
F: 0.9954 0.6285 0.0943  1 Xe 1.96
F: 0.9756 0.9766 0.1608  1 Sb 1.89
F: 0.0783 0.7282 0.7588  1 Sb 1.90
F: 0.7191 0.6460 0.8977  1 Xe 2.00
F: 0.6510 0.7105 0.4858  1 Sb 1.98
F: 0.3453 0.3464 0.7643  1 Sb 1.89
F: 0.6829 0.2910 0.0278  1 Sb 1.90
F: 0.3512 0.0228 0.7832  2 Sb 2.04-2.11
F: 0.6492 0.0223 0.8995  1 Sb 1.88
F: 0.5895 0.2686 0.2943  1 Sb 1.92
F: 0.3508 0.9777 0.1005  1 Sb 1.88
F: 0.9217 0.2718 0.2412  1 Sb 1.90
F: 0.3490 0.2895 0.5142  1 Sb 1.98
F: 0.8778 0.9479 0.4284  1 Sb 1.89
F: 0.3640 0.0207 0.3607  1 Sb 1.90
F: 0.3171 0.7090 0.9722  1 Sb 1.90
F: 0.6446 0.3077 0.6304  1 Sb 1.89
F: 0.9573 0.4095 0.6333  1 Xe 1.99
Sb: 0.5090 0.1652 0.7084  6 F 1.88-2.04
Sb: 0.2058 0.8693 0.7707  6 F 1.89-2.11
Sb: 0.7942 0.1307 0.2293  6 F 1.89-2.11
Sb: 0.4910 0.8348 0.2916  6 F 1.88-2.04
Xe: 0.8077 0.5533 0.7411  3 F 1.96-2.00
Xe: 0.1923 0.4467 0.2589  3 F 1.96-2.00

=====

The following is a GGA-PBE calculation of a relaxed structure of Sb2XeF16, from Materials Project.

Summary:
Calculated density (g/cm³): 3.335
Total magnetic moment (Bohr magnetons per cell): 0.0
ΔE_f (eV/f.u.): -36.8

abc: 8.8694 8.9015 9.5962
angles: 68.82 75.60 76.70
Last column: nearest neighbours and their distance in Å.
Element x y z (fractional)
F: 0.7939 0.0690 0.5420  1 Sb 1.92
F: 0.0065 0.1901 0.9189  1 Sb 1.89
F: 0.7353 0.1796 0.2467  1 Xe 1.96
F: 0.0632 0.1970 0.6264  1 Sb 1.89
F: 0.9833 0.4901 0.6903  1 Sb 1.91
F: 0.4249 0.5345 0.8297  1 Xe 1.96
F: 0.1268 0.5452 0.9020  1 Xe 1.96
F: 0.3307 0.2220 0.3307  1 Sb 1.89
F: 0.8732 0.4548 0.0980  1 Xe 1.96
F: 0.7790 0.3734 0.5913  1 Sb 1.93
F: 0.3095 0.4033 0.6923  1 Xe 1.97
F: 0.6922 0.7924 0.9487  1 Sb 1.89
F: 0.2061 0.9310 0.4580  1 Sb 1.92
F: 0.2210 0.6266 0.4087  1 Sb 1.93
F: 0.0167 0.5099 0.3097  1 Sb 1.91
F: 0.9368 0.8030 0.3736  1 Sb 1.89
F: 0.3078 0.2076 0.0513  1 Sb 1.89
F: 0.4490 0.6739 0.5448  1 Xe 1.96
F: 0.1943 0.9224 0.1817  2 Sb 2.08
F: 0.2647 0.8204 0.7533  1 Xe 1.96
F: 0.2804 0.6400 0.1173  1 Sb 1.90
F: 0.5324 0.0498 0.7600  1 Sb 1.89
F: 0.8057 0.0776 0.8183  2 Sb 2.08
F: 0.9935 0.8099 0.0811  1 Sb 1.89
F: 0.4676 0.9502 0.2400  1 Sb 1.89
F: 0.6905 0.5967 0.3077  1 Xe 1.97
F: 0.6693 0.7780 0.6693  1 Sb 1.89
F: 0.7196 0.3600 0.8827  1 Sb 1.90
F: 0.9492 0.8149 0.7261  1 Sb 1.93
F: 0.5751 0.4655 0.1703  1 Xe 1.96
F: 0.0508 0.1851 0.2739  1 Sb 1.93
F: 0.5510 0.3261 0.4552  1 Xe 1.96
Sb: 0.1001 0.7091 0.2473  6 F 1.89-2.08
Sb: 0.2673 0.0800 0.2583  6 F 1.89-2.08
Sb: 0.7327 0.9200 0.7417  6 F 1.89-2.08
Sb: 0.8999 0.2909 0.7527  6 F 1.89-2.08
Xe: 0.7377 0.3739 0.2965  5 F 1.96-1.97
Xe: 0.2623 0.6261 0.7035  5 F 1.96-1.97

=====

The following is a GGA-PBE calculation of a relaxed structure of SbXeF7, from Materials Project.

Summary:
Calculated density (g/cm³): 3.567
ΔE_f (eV/f.u.): -18.3

abc: 11.2332 5.6059 11.4504
angles: 85.56 90.00 90.00
Last column: nearest neighbours and their distance in Å.
Element x y z (fractional)
Xe: 0.7318 0.5348 0.9729  1 F 1.99
Xe: 0.7682 0.5348 0.4729  1 F 1.99
Xe: 0.2682 0.4652 0.0271  1 F 1.99
Xe: 0.2318 0.4652 0.5271  1 F 1.99
F: 0.1046 0.6245 0.2503  1 Sb 1.91
F: 0.1304 0.0018 0.3760  1 Sb 1.91
F: 0.8808 0.3678 0.0264  1 Xe 1.99
F: 0.9222 0.9247 0.8627  1 Sb 1.90
F: 0.6192 0.3678 0.5264  1 Xe 1.99
F: 0.4127 0.8404 0.1874  1 Sb 1.90
F: 0.5778 0.9247 0.3627  1 Sb 1.90
F: 0.1178 0.2268 0.8112  1 Sb 1.90
F: 0.0778 0.0753 0.1373  1 Sb 1.90
F: 0.0561 0.2890 0.5822  1 Sb 2.07, 1 Xe 2.27
F: 0.6178 0.7732 0.6888  1 Sb 1.90
F: 0.6304 0.9982 0.1240  1 Sb 1.91
F: 0.3808 0.6322 0.4736  1 Xe 1.99
F: 0.3954 0.6245 0.7503  1 Sb 1.91
F: 0.5873 0.1596 0.8126  1 Sb 1.90
F: 0.8822 0.7732 0.1888  1 Sb 1.90
F: 0.9127 0.1596 0.3126  1 Sb 1.90
F: 0.9439 0.7110 0.4178  1 Sb 2.07, 1 Xe 2.27
F: 0.6046 0.3755 0.2497  1 Sb 1.91
F: 0.8954 0.3755 0.7497  1 Sb 1.91
F: 0.8696 0.9982 0.6240  1 Sb 1.91
F: 0.3822 0.2268 0.3112  1 Sb 1.90
F: 0.1192 0.6322 0.9736  1 Xe 1.99
F: 0.5561 0.7110 0.9178  1 Sb 2.07, 1 Xe 2.27
F: 0.4439 0.2890 0.0822  1 Sb 2.07, 1 Xe 2.27
F: 0.4222 0.0753 0.6373  1 Sb 1.90
F: 0.3696 0.0018 0.8760  1 Sb 1.91
F: 0.0873 0.8404 0.6874  1 Sb 1.90
Sb: 0.9887 0.0969 0.7289  6 F 1.90-2.07
Sb: 0.5113 0.0969 0.2289  6 F 1.90-2.07
Sb: 0.4887 0.9031 0.7711  6 F 1.90-2.07
Sb: 0.0113 0.9031 0.2711  6 F 1.90-2.07

=====

The following is a GGA-PBE calculation of a relaxed structure of SbXe2F9, from Materials Project.

Summary:
Calculated density (g/cm³): 3.716
ΔE_f (eV/f.u.): -20.7

abc: 8.6213 8.6213 10.3418
angles: 55.44 55.44 58.03
Last column: nearest neighbours and their distance in Å.
Element x y z (fractional)
F: 0.9668 0.1637 0.3463  1 Sb 1.93
F: 0.1414 0.3479 0.7468  1 Sb 1.92
F: 0.7901 0.1020 0.8662  1 Sb 1.93
F: 0.1020 0.7901 0.3662  1 Sb 1.93
F: 0.4673 0.5351 0.1200  1 Xe 2.01
F: 0.4760 0.7649 0.2717  1 Sb 1.93
F: 0.2704 0.0664 0.0720  1 Sb 1.92
F: 0.1778 0.8656 0.5416  1 Sb 1.92
F: 0.7649 0.4760 0.7717  1 Sb 1.93
F: 0.8656 0.1778 0.0416  1 Sb 1.92
F: 0.6922 0.8315 0.4175  1 Xe 2.01
F: 0.0664 0.2704 0.5720  1 Sb 1.92
F: 0.5351 0.4673 0.6200  1 Xe 2.01
F: 0.3479 0.1414 0.2468  1 Sb 1.92
F: 0.5260 0.1052 0.5870  2 Xe 2.21-2.22
F: 0.8315 0.6922 0.9175  1 Xe 2.01
F: 0.1637 0.9668 0.8463  1 Sb 1.93
F: 0.1052 0.5260 0.0870  2 Xe 2.21-2.22
Xe: 0.8928 0.6960 0.2532  2 F 2.01-2.21
Xe: 0.3305 0.5126 0.8356  2 F 2.01-2.22
Xe: 0.6960 0.8928 0.7532  2 F 2.01-2.21
Xe: 0.5126 0.3305 0.3356  2 F 2.01-2.22
Sb: 0.2235 0.9676 0.3064  6 F 1.92-1.93
Sb: 0.9676 0.2235 0.8064  6 F 1.92-1.93

=====

The following is a GGA-PBE calculation of a relaxed structure of Sb2XeF13, from Materials Project.

Summary:
Calculated density (g/cm³): 3.563
Total magnetic moment (Bohr magnetons per cell): 2.0
ΔE_f (eV/f.u.): -34.1

abc: 8.0809 8.8510 9.2558
angles: 104.95 104.38 105.47
Last column: nearest neighbours and their distance in Å.
Element x y z (fractional)
F: 0.1824 0.9548 0.5796  1 Sb 1.91
F: 0.4057 0.3631 0.6870  1 Sb 1.90
F: 0.0702 0.4079 0.6167  1 Sb 1.91
F: 0.7817 0.2604 0.2680  2 Sb 2.06-2.08
F: 0.1679 0.9316 0.9803  1 Sb 1.91
F: 0.1266 0.1678 0.8327  1 Sb 1.91
F: 0.5599 0.7121 0.8097  1 Sb 1.90
F: 0.9298 0.5921 0.3833  1 Sb 1.91
F: 0.4401 0.2879 0.1903  1 Sb 1.90
F: 0.0838 0.1661 0.3101  1 Sb 1.90
F: 0.3226 0.5652 0.5101  1 Sb 1.91
F: 0.3413 0.0088 0.3392  1 Xe 2.03
F: 0.8176 0.0452 0.4204  1 Sb 1.91
F: 0.9162 0.8339 0.6899  1 Sb 1.90
F: 0.2183 0.7396 0.7320  2 Sb 2.06-2.08
F: 0.8734 0.8322 0.1673  1 Sb 1.91
F: 0.8321 0.0684 0.0197  1 Sb 1.91
F: 0.5943 0.6369 0.3130  1 Sb 1.90
F: 0.5704 0.9308 0.1301  1 Sb 1.91
F: 0.6587 0.9912 0.6608  1 Xe 2.03
F: 0.6958 0.4395 0.0849  1 Sb 1.91
F: 0.1499 0.5016 0.1606  1 Xe 2.03
F: 0.8501 0.4984 0.8394  1 Xe 2.03
F: 0.3042 0.5605 0.9151  1 Sb 1.91
F: 0.6774 0.4348 0.4899  1 Sb 1.91
F: 0.4296 0.0692 0.8699  1 Sb 1.91
Sb: 0.6772 0.4533 0.2891  6 F 1.90-2.08
Sb: 0.8294 0.0380 0.2156  6 F 1.90-2.06
Sb: 0.1706 0.9620 0.7844  6 F 1.90-2.06
Sb: 0.3228 0.5467 0.7109  6 F 1.90-2.08
Xe: 0.2446 0.7552 0.2497  2 F 2.03
Xe: 0.7554 0.2448 0.7503  2 F 2.03

=====

The following is a GGA-PBE calculation of a relaxed structure of SbXeF9, from Materials Project.

Summary:
Calculated density (g/cm³): 3.628
Total magnetic moment (Bohr magnetons per cell): 0.0
ΔE_f (eV/f.u.): -19.8

abc: 15.8554 5.5644 9.4899
angles: 68.00 90.00 90.00
Last column: nearest neighbours and their distance in Å.
Element x y z (fractional)
F: 0.0289 0.5676 0.3359  1 Sb 2.01
F: 0.2211 0.0753 0.0647  1 Xe 1.97
F: 0.9793 0.2069 0.2268  1 Sb 1.91
F: 0.6723 0.8405 0.1994  1 Xe 2.01
F: 0.6351 0.7005 0.8452  1 Sb 1.89
F: 0.1869 0.6462 0.7805  1 Sb 1.91
F: 0.0901 0.7962 0.5169  1 Sb 1.93
F: 0.1351 0.2995 0.6548  1 Sb 1.89
F: 0.4099 0.7962 0.0169  1 Sb 1.93
F: 0.6298 0.3168 0.4132  1 Xe 2.00
F: 0.9099 0.2038 0.4831  1 Sb 1.93
F: 0.5901 0.2038 0.9831  1 Sb 1.93
F: 0.6869 0.3538 0.7195  1 Sb 1.91
F: 0.9365 0.7145 0.0799  1 Sb 1.91
F: 0.4365 0.2855 0.4201  1 Sb 1.91
F: 0.1723 0.1595 0.3006  1 Xe 2.01
F: 0.1298 0.6832 0.0868  1 Xe 2.00
F: 0.8702 0.3168 0.9132  1 Xe 2.00
F: 0.3649 0.2995 0.1548  1 Sb 1.89
F: 0.4793 0.7931 0.2732  1 Sb 1.91
F: 0.7789 0.9247 0.9353  1 Xe 1.97
F: 0.0635 0.2855 0.9201  1 Sb 1.91
F: 0.8649 0.7005 0.3452  1 Sb 1.89
F: 0.9711 0.4324 0.6641  1 Sb 2.01
F: 0.3277 0.1595 0.8006  1 Xe 2.01
F: 0.8277 0.8405 0.6994  1 Xe 2.01
F: 0.5207 0.2069 0.7268  1 Sb 1.91
F: 0.8131 0.3538 0.2195  1 Sb 1.91
F: 0.5289 0.4324 0.1641  1 Sb 2.01
F: 0.5635 0.7145 0.5799  1 Sb 1.91
F: 0.7211 0.9247 0.4353  1 Xe 1.97
F: 0.3702 0.6832 0.5868  1 Xe 2.00
F: 0.2789 0.0753 0.5647  1 Xe 1.97
F: 0.0207 0.7931 0.7732  1 Sb 1.91
F: 0.4711 0.5676 0.8359  1 Sb 2.01
F: 0.3131 0.6462 0.2805  1 Sb 1.91
Sb: 0.4179 0.5426 0.2220  6 F 1.89-2.01
Sb: 0.0821 0.5426 0.7220  6 F 1.89-2.01
Sb: 0.5821 0.4574 0.7780  6 F 1.89-2.01
Sb: 0.9179 0.4574 0.2780  6 F 1.89-2.01
Xe: 0.3633 0.8900 0.7194  3 F 1.97-2.01
Xe: 0.8633 0.1100 0.7806  3 F 1.97-2.01
Xe: 0.6367 0.1100 0.2806  3 F 1.97-2.01
Xe: 0.1367 0.8900 0.2194  3 F 1.97-2.01